[1]
Material: Ti2Al2SiS5O24
Method: DFT, PBE-GGA
State: relaxed

Cell lengths 8.4672, 8.4716, 21.9471 Å; angles 90.01, 89.99, 120.01 degrees
With the nearest neighbours (Å) after each atom.
Atoms (fractional coordinates):
S 0.0001 0.7093 0.7519  4 O 1.47-1.49
O 0.6988 0.5283 0.2428  1 S 1.47
O 0.8058 0.8325 0.9055  1 S 1.48
O 0.8249 0.0253 0.0914  1 S 1.48
Si 0.3948 0.3340 0.0832  4 O 1.58-1.67
O 0.8285 0.0331 0.8055  1 S 1.48
O 0.1843 0.1614 0.0941  1 Si 1.66, 1 Ti 1.74
O 0.8302 0.2976 0.5250  1 Si 1.64, 1 Ti 1.78
O 0.1573 0.7026 0.4704  1 S 1.47
O 0.1266 0.4941 0.8616  1 S 1.48
O 0.2040 0.0337 0.3050  1 S 1.48
Ti 0.3337 0.6584 0.0237  1 O 1.75
O 0.3095 0.4724 0.7613  1 S 1.48
O 0.8297 0.7993 0.5935  1 S 1.48
O 0.5069 0.3690 0.1443  1 Si 1.58, 1 Al 1.75
S 0.9476 0.6142 0.0831  4 O 1.47-1.48
Ti 0.0079 0.0093 0.1414  1 O 1.74
O 0.4939 0.8603 0.3581  1 Si 1.66, 1 Ti 1.74
O 0.5047 0.6335 0.8613  1 S 1.48
O 0.1756 0.2099 0.6967  1 S 1.49
O 0.4723 0.3088 0.7407  1 S 1.47
S 0.2928 0.2920 0.7516  4 O 1.47-1.49
O 0.9674 0.7968 0.0917  1 S 1.48
S 0.7166 0.7089 0.2502  4 O 1.47-1.50
O 0.2981 0.8422 0.9698  1 S 1.48
O 0.1531 0.5087 0.5721  1 Si 1.61
O 0.4936 0.1314 0.6399  1 S 1.47
O 0.4725 0.1624 0.2425  1 S 1.46
O 0.7895 0.9639 0.6973  1 S 1.49
Al 0.9973 0.0003 0.3550  3 O 1.74-1.91
S 0.6668 0.6160 0.5851  4 O 1.46-1.48
O 0.5277 0.8280 0.4748  1 Si 1.62
Ti 0.3434 0.6782 0.3124  1 O 1.74
O 0.7037 0.1644 0.0281  1 S 1.47
Al 0.3322 0.6681 0.8128  6 O 1.90-1.95
O 0.1572 0.4677 0.2577  1 S 1.47
Al 0.6573 0.3289 0.9780  3 O 1.75-1.96
O 0.1704 0.9765 0.9052  1 S 1.48
O 0.1975 0.0247 0.5932  1 S 1.48
O 0.8315 0.3047 0.2395  1 S 1.47
O 0.6870 0.1597 0.7429  1 S 1.47
O 0.8630 0.5130 0.4230  1 S 1.47
S 0.0403 0.3746 0.9151  4 O 1.47-1.50
Si 0.6341 0.9556 0.4169  4 O 1.56-1.66
Si 0.9534 0.3399 0.5869  4 O 1.57-1.65
O 0.4556 0.1611 0.5299  1 S 1.48
S 0.0464 0.6734 0.4154  4 O 1.46-1.49
O 0.7928 0.8239 0.1956  1 S 1.47
O 0.6365 0.1313 0.1386  1 S 1.47
O 0.0285 0.2043 0.1950  1 S 1.50
Al 0.0013 0.9987 0.8534  6 O 1.90-1.94
O 0.3018 0.8368 0.2572  1 S 1.49
Ti 0.9984 0.0063 0.6433  3 O 1.75-1.95
O 0.8730 0.5027 0.1384  1 S 1.47
O 0.0329 0.8364 0.4052  1 S 1.46
O 0.8383 0.5348 0.0279  1 S 1.47
O 0.5311 0.6866 0.2581  1 S 1.50
O 0.3616 0.4913 0.3612  1 S 1.49
O 0.6464 0.5071 0.9240  1 S 1.47
O 0.0355 0.8243 0.6971  1 S 1.48
Al 0.6626 0.3374 0.1877  4 O 1.75-1.95
O 0.4951 0.3631 0.4245  1 S 1.46
O 0.5056 0.6387 0.5783  1 S 1.48
O 0.1729 0.9693 0.1961  1 S 1.49
S 0.6257 0.6676 0.9145  4 O 1.47-1.50
O 0.5032 0.8695 0.0749  1 S 1.48
S 0.3824 0.0491 0.5854  4 O 1.47-1.48
O 0.1335 0.6410 0.0748  1 S 1.48
O 0.8303 0.7946 0.3044  1 S 1.47
O 0.4719 0.2979 0.0223  1 Si 1.58, 1 Al 1.75
O 0.6318 0.5034 0.6400  1 S 1.47
S 0.6660 0.0523 0.0831  4 O 1.47-1.48
O 0.1630 0.6902 0.7616  1 S 1.48
O 0.1577 0.4571 0.9702  1 S 1.50
S 0.7076 0.9993 0.7523  4 O 1.47-1.49
O 0.5434 0.7027 0.9696  1 S 1.50
O 0.8589 0.3672 0.6445  1 Si 1.57, 1 Al 1.75
Al 0.6741 0.3378 0.6888  3 O 1.75-1.94
Ti 0.6762 0.3222 0.4762  3 O 1.77-1.98
O 0.2067 0.1726 0.8051  1 S 1.48
O 0.8609 0.3579 0.9263  1 S 1.47
O 0.9648 0.1717 0.3037  1 S 1.47
O 0.0238 0.1943 0.9055  1 S 1.48
O 0.8254 0.9764 0.4042  1 Si 1.56, 1 Al 1.74
O 0.8346 0.5302 0.7438  1 S 1.47
S 0.9940 0.2874 0.2500  4 O 1.47-1.50
O 0.3562 0.5065 0.0719  1 Si 1.67, 1 Ti 1.75
O 0.9761 0.1583 0.5950  1 Si 1.65, 1 Ti 1.75
S 0.3332 0.9571 0.9149  4 O 1.47-1.49
Ti 0.3387 0.6671 0.5231  5 O 1.82-2.02
S 0.3300 0.3736 0.4156  4 O 1.46-1.49
O 0.3648 0.8699 0.8610  1 S 1.49
O 0.9685 0.7966 0.8058  1 S 1.49
O 0.5274 0.8343 0.7614  1 S 1.48
O 0.1707 0.1936 0.4052  1 S 1.46
S 0.2895 0.0051 0.2507  4 O 1.46-1.49
O 0.2926 0.4520 0.4705  1 S 1.48
O 0.3615 0.8670 0.5776  1 S 1.47
O 0.6337 0.1469 0.4237  1 Si 1.63, 1 Ti 1.77
O 0.1241 0.6312 0.3610  1 S 1.49
O 0.4991 0.1362 0.9230  1 S 1.47
O 0.6984 0.5408 0.5296  1 S 1.46

## Properties
The calculation puts the formation energy at -2470.4 meV per atom. As for the space group: P1. The value obtained for the total magnetization is 0.0 Bohr magnetons per cell. The calculation puts the density at 2.6 g/cm3. The value obtained for the energy is -6.931 eV per atom.

---

[2]
Material: Sr4Al6SO16
Method: DFT, PBE-GGA
State: relaxed

Cell lengths 8.1591, 8.1591, 8.1591 Å; angles 109.47, 109.47, 109.47 degrees
With the nearest neighbours (Å) after each atom.
Atoms (fractional coordinates):
Sr 0.6073 0.0000 0.0000  3 O 2.48
O 0.3951 0.7000 0.0000  2 Al 1.76
O 0.3000 0.3000 0.6951  2 Al 1.76
O 0.3000 0.6951 0.3000  2 Al 1.76
O 0.8167 0.8167 0.8167  1 S 1.50
Al 0.2500 0.5000 0.7500  4 O 1.76
O 0.1833 0.0000 0.0000  1 S 1.50
Sr 0.3927 0.3927 0.3927  3 O 2.48
O 0.0000 0.3951 0.7000  2 Al 1.76
Al 0.5000 0.2500 0.7500  4 O 1.76
Al 0.5000 0.7500 0.2500  4 O 1.76
O 0.7000 0.0000 0.3951  2 Al 1.76
O 0.0000 0.7000 0.3951  2 Al 1.76
O 0.0000 0.1833 0.0000  1 S 1.50
O 0.3951 0.0000 0.7000  2 Al 1.76
O 0.6049 0.3049 0.6049  2 Al 1.76
Sr 0.0000 0.6073 0.0000  3 O 2.48
Al 0.7500 0.2500 0.5000  4 O 1.76
Al 0.7500 0.5000 0.2500  4 O 1.76
O 0.3049 0.6049 0.6049  2 Al 1.76
Al 0.2500 0.7500 0.5000  4 O 1.76
O 0.0000 0.0000 0.1833  1 S 1.50
O 0.6951 0.3000 0.3000  2 Al 1.76
S 0.0000 0.0000 0.0000  4 O 1.50
O 0.7000 0.3951 0.0000  2 Al 1.76
Sr 0.0000 0.0000 0.6073  3 O 2.48
O 0.6049 0.6049 0.3049  2 Al 1.76

## Properties
The calculation puts the formation energy at -3282.2 meV per atom. As for the space group: I-43m. The value obtained for the total magnetization is 0.0 Bohr magnetons per cell. The calculation puts the density at 3.2 g/cm3. The value obtained for the energy is -7.043 eV per atom.

---

[3]
Material: Al5Sb3O16
Method: DFT, PBE-GGA
State: relaxed

Cell lengths 7.5244, 7.5244, 4.5255 Å; angles 89.31, 89.31, 101.39 degrees
With the nearest neighbours (Å) after each atom.
Atoms (fractional coordinates):
Sb 0.5000 0.5000 0.5000  6 O 1.96-2.02
O 0.7223 0.4581 0.7133  1 Al 1.94, 2 Sb 2.02-2.06
O 0.4103 0.9182 0.2111  2 Al 1.91-1.92, 1 Sb 2.03
O 0.4581 0.7223 0.7133  1 Al 1.94, 2 Sb 2.02-2.06
O 0.3484 0.3484 0.8002  2 Al 1.90, 1 Sb 1.96
Al 0.0000 0.0000 0.0000  6 O 1.83-1.96
O 0.8302 0.8302 0.8185  3 Al 1.83-1.88
O 0.2098 0.9747 0.7557  2 Al 1.96-1.97, 1 Sb 1.97
O 0.7902 0.0253 0.2443  2 Al 1.96-1.97, 1 Sb 1.97
O 0.5419 0.2777 0.2867  1 Al 1.94, 2 Sb 2.02-2.06
O 0.9747 0.2098 0.7557  2 Al 1.96-1.97, 1 Sb 1.97
Sb 0.2308 0.7692 0.5000  6 O 1.97-2.06
O 0.9182 0.4103 0.2111  2 Al 1.91-1.92, 1 Sb 2.03
Al 0.6133 0.8644 0.9993  6 O 1.88-1.97
Al 0.3867 0.1356 0.0007  6 O 1.88-1.97
Al 0.1356 0.3867 0.0007  6 O 1.88-1.97
O 0.0818 0.5897 0.7889  2 Al 1.91-1.92, 1 Sb 2.03
O 0.0253 0.7902 0.2443  2 Al 1.96-1.97, 1 Sb 1.97
Al 0.8644 0.6133 0.9993  6 O 1.88-1.97
O 0.2777 0.5419 0.2867  1 Al 1.94, 2 Sb 2.02-2.06
O 0.6516 0.6516 0.1998  2 Al 1.90, 1 Sb 1.96
O 0.5897 0.0818 0.7889  2 Al 1.91-1.92, 1 Sb 2.03
O 0.1698 0.1698 0.1815  3 Al 1.83-1.88
Sb 0.7692 0.2308 0.5000  6 O 1.97-2.06

## Properties
The calculation puts the formation energy at -2557.2 meV per atom. As for the space group: C2/m. The value obtained for the total magnetization is 2.0 Bohr magnetons per cell. The calculation puts the density at 5.0 g/cm3. The value obtained for the energy is -6.694 eV per atom.

---

[4]
Material: Al4Si2Sn13Sb2O28
Method: DFT, PBE-GGA
State: relaxed

Cell lengths 14.6605, 14.6605, 10.0929 Å; angles 87.86, 87.86, 158.37 degrees
With the nearest neighbours (Å) after each atom.
Atoms (fractional coordinates):
Sn 0.1900 0.3315 0.6612  3 O 2.14-2.31
O 0.6862 0.0443 0.4015  1 Al 1.77
O 0.5802 0.8714 0.8982  1 Sb 2.00, 1 Sn 2.21
Si 0.2558 0.2558 0.2841  4 O 1.64-1.71
O 0.7547 0.9236 0.1195  1 Sb 2.08, 1 Sn 2.21
O 0.3223 0.4163 0.3410  1 Si 1.64
O 0.9972 0.6219 0.1264  1 Al 1.78
O 0.8714 0.5802 0.8982  1 Sb 2.00, 1 Sn 2.21
O 0.0028 0.3781 0.8736  1 Al 1.78
O 0.5837 0.6777 0.6590  1 Si 1.64
Sn 0.8101 0.6685 0.3388  3 O 2.14-2.31
Sn 0.6685 0.8101 0.3388  3 O 2.14-2.31
O 0.9392 0.9392 0.3140  1 Si 1.71
Al 0.0145 0.4491 0.7157  4 O 1.77-1.82
O 0.6646 0.6646 0.8819  1 Si 1.65
Sn 0.3315 0.1900 0.6612  3 O 2.14-2.31
Si 0.7442 0.7442 0.7159  4 O 1.64-1.71
Sn 0.0000 0.0000 0.0000  2 O 2.39
Sn 0.5737 0.4263 0.0000  6 O 2.43-2.53
O 0.3138 0.9557 0.5985  1 Al 1.77
Sn 0.4263 0.5737 0.0000  6 O 2.43-2.53
O 0.4198 0.1286 0.1018  1 Sb 2.00, 1 Sn 2.21
Al 0.4491 0.0145 0.7157  4 O 1.77-1.82
Sn 0.5890 0.9102 0.6244  3 O 2.15-2.31
O 0.9236 0.7547 0.1195  1 Sb 2.08, 1 Sn 2.21
Sb 0.1393 0.8607 0.0000  6 O 2.00-2.08
O 0.2453 0.0764 0.8805  1 Sb 2.08, 1 Sn 2.21
O 0.9557 0.3138 0.5985  1 Al 1.77
O 0.6694 0.2083 0.3072  2 Al 1.81-1.82
Sn 0.9102 0.5890 0.6244  3 O 2.15-2.31
Sn 0.2963 0.7037 0.0000  4 O 2.21-2.37
Al 0.9855 0.5509 0.2843  4 O 1.77-1.82
Sn 0.0898 0.4110 0.3756  3 O 2.15-2.31
O 0.3354 0.3354 0.1181  1 Si 1.65
Sn 0.7037 0.2963 0.0000  4 O 2.21-2.37
O 0.0764 0.2453 0.8805  1 Sb 2.08, 1 Sn 2.21
O 0.6777 0.5837 0.6590  1 Si 1.64
Sn 0.4110 0.0898 0.3756  3 O 2.15-2.31
O 0.6219 0.9972 0.1264  1 Al 1.78
Al 0.5509 0.9855 0.2843  4 O 1.77-1.82
O 0.0443 0.6862 0.4015  1 Al 1.77
O 0.4163 0.3223 0.3410  1 Si 1.64
O 0.3781 0.0028 0.8736  1 Al 1.78
O 0.7917 0.3306 0.6928  2 Al 1.81-1.82
O 0.3306 0.7917 0.6928  2 Al 1.81-1.82
O 0.0608 0.0608 0.6860  1 Si 1.71
O 0.2083 0.6694 0.3072  2 Al 1.81-1.82
Sb 0.8607 0.1393 0.0000  6 O 2.00-2.08
O 0.1286 0.4198 0.1018  1 Sb 2.00, 1 Sn 2.21

## Properties
The calculation puts the formation energy at -2113.8 meV per atom. As for the space group: C2/m. The value obtained for the total magnetization is 0.0 Bohr magnetons per cell. The calculation puts the density at 5.1 g/cm3. The value obtained for the energy is -6.308 eV per atom.

---

The lowest energy belongs to which entry?
Sr4Al6SO16